A relaxed structure of Rb3ClO, computed with PBE.

abc: 5.534 5.534 5.534
angles: 90.00 90.00 90.00
Positions (direct):
Rb  0.000  0.000  0.500
Rb  0.000  0.500  0.000
Rb  0.500  0.000  0.000
Cl  0.500  0.500  0.500
O  0.000  0.000  0.000

Computed properties:
Its space group is Pm-3m (221).



A relaxed structure of Rb3ClO, computed with PBE.

abc: 9.070 4.356 15.942
angles: 90.00 90.00 90.00
Positions (direct):
Rb  0.022  0.250  0.095
Rb  0.173  0.250  0.500
Rb  0.210  0.750  0.291
Rb  0.290  0.250  0.791
Rb  0.327  0.750  0.000
Rb  0.478  0.750  0.595
Rb  0.522  0.250  0.405
Rb  0.673  0.250  0.000
Rb  0.710  0.750  0.209
Rb  0.790  0.250  0.709
Rb  0.827  0.750  0.500
Rb  0.978  0.750  0.905
Cl  0.079  0.750  0.674
Cl  0.421  0.250  0.174
Cl  0.579  0.750  0.826
Cl  0.921  0.250  0.326
O  0.169  0.250  0.939
O  0.331  0.750  0.439
O  0.669  0.250  0.561
O  0.831  0.750  0.061

Computed properties:
Its space group is Pnma (62).



A relaxed structure of Rb3ClO, computed with PBE.

abc: 7.746 7.746 19.741
angles: 90.00 90.00 120.00
Positions (direct):
Rb  0.028  0.514  0.250
Rb  0.166  0.331  0.082
Rb  0.166  0.331  0.418
Rb  0.166  0.834  0.082
Rb  0.166  0.834  0.418
Rb  0.331  0.166  0.582
Rb  0.331  0.166  0.918
Rb  0.486  0.514  0.250
Rb  0.486  0.972  0.250
Rb  0.514  0.028  0.750
Rb  0.514  0.486  0.750
Rb  0.669  0.834  0.082
Rb  0.669  0.834  0.418
Rb  0.834  0.166  0.582
Rb  0.834  0.166  0.918
Rb  0.834  0.669  0.582
Rb  0.834  0.669  0.918
Rb  0.972  0.486  0.750
Cl  0.000  0.000  0.250
Cl  0.000  0.000  0.750
Cl  0.333  0.667  0.589
Cl  0.333  0.667  0.911
Cl  0.667  0.333  0.089
Cl  0.667  0.333  0.411
O  0.000  0.000  0.000
O  0.000  0.000  0.500
O  0.333  0.667  0.160
O  0.333  0.667  0.340
O  0.667  0.333  0.660
O  0.667  0.333  0.840

Computed properties:
Its space group is P6_3/mmc (194).



A relaxed structure of Rb3ClO, computed with PBE.

abc: 7.738 10.959 7.719
angles: 90.00 90.00 90.00
Positions (direct):
Rb  0.022  0.250  0.072
Rb  0.201  0.035  0.701
Rb  0.201  0.465  0.701
Rb  0.299  0.535  0.201
Rb  0.299  0.965  0.201
Rb  0.478  0.750  0.572
Rb  0.522  0.250  0.428
Rb  0.701  0.035  0.799
Rb  0.701  0.465  0.799
Rb  0.799  0.535  0.299
Rb  0.799  0.965  0.299
Rb  0.978  0.750  0.928
Cl  0.034  0.750  0.497
Cl  0.466  0.250  0.997
Cl  0.534  0.750  0.003
Cl  0.966  0.250  0.503
O  0.000  0.000  0.000
O  0.000  0.500  0.000
O  0.500  0.000  0.500
O  0.500  0.500  0.500

Computed properties:
Its space group is Pnma (62).



A relaxed structure of RbZnSClO4, computed with PBE.

abc: 7.368 9.819 8.501
angles: 90.00 95.69 90.00
Positions (direct):
Rb  0.137  0.081  0.301
Rb  0.137  0.419  0.801
Rb  0.863  0.581  0.199
Rb  0.863  0.919  0.699
Zn  0.406  0.696  0.456
Zn  0.406  0.804  0.956
Zn  0.594  0.196  0.044
Zn  0.594  0.304  0.544
S  0.395  0.071  0.734
S  0.395  0.429  0.234
S  0.605  0.571  0.766
S  0.605  0.929  0.266
Cl  0.127  0.683  0.529
Cl  0.127  0.817  0.029
Cl  0.873  0.183  0.971
Cl  0.873  0.317  0.471
O  0.213  0.064  0.650
O  0.213  0.436  0.150
O  0.388  0.161  0.877
O  0.388  0.339  0.377
O  0.467  0.567  0.286
O  0.467  0.624  0.869
O  0.467  0.876  0.369
O  0.467  0.933  0.786
O  0.533  0.067  0.214
O  0.533  0.124  0.631
O  0.533  0.376  0.131
O  0.533  0.433  0.714
O  0.612  0.661  0.623
O  0.612  0.839  0.123
O  0.787  0.564  0.850
O  0.787  0.936  0.350

Computed properties:
Its space group is P2_1/c (14).



A relaxed structure of RbYSeCl2O3, computed with PBE.

abc: 6.676 7.098 8.959
angles: 81.40 74.71 88.93
Positions (direct):
Rb  0.235  0.216  0.385
Rb  0.765  0.784  0.615
Y  0.141  0.753  0.981
Y  0.859  0.247  0.019
Se  0.367  0.261  0.912
Se  0.633  0.739  0.088
Cl  0.109  0.693  0.287
Cl  0.243  0.824  0.668
Cl  0.757  0.176  0.332
Cl  0.891  0.307  0.713
O  0.181  0.077  0.984
O  0.183  0.430  0.973
O  0.497  0.758  0.949
O  0.503  0.242  0.051
O  0.817  0.570  0.027
O  0.819  0.923  0.016

Computed properties:
Its space group is P-1 (2).



Number 1: E_form -1430.0 meV per atom. Number 2: E_form -1471.4 meV per atom. Number 3: E_form -1429.8 meV per atom. Number 4: E_form -1456.2 meV per atom. Number 5: E_form -1960.7 meV per atom. Number 6: E_form -2267.3 meV per atom.